Material: Er3Al5O12
Method: DFT, meta-GGA r2SCAN
State: optimized geometry

abc: 11.923 11.923 11.923
angles: 90.00 90.00 90.00
Space group Ia-3d (No. 230)
One atom of each set of equivalent atoms:
Er 0.000 0.250 0.125 (multiplicity 24)
Al 0.000 0.000 0.000 (multiplicity 16)
Al 0.000 0.250 0.375 (multiplicity 24)
O 0.030 0.052 0.649 (multiplicity 96)

Volume, Å³/cell: 1695.1
Total moment, Bohr magnetons per cell: 0.0
ΔH_f (0 K), eV/atom: -3.6421